(1)
An optimized crystal structure of Li3SbO3. Source: the Materials Project, functional meta-GGA r2SCAN.

Summary:
Total magnetization (μB per cell): 0.00

Cell lengths 8.552, 8.552, 8.552 Å; angles 90.00, 90.00, 90.00 degrees
Space group I-43m (No. 217)
Symmetry-distinct sites (fractional):
Li 0.088 0.377 0.623 (multiplicity 24)
Sb 0.140 0.140 0.860 (multiplicity 8)
O 0.129 0.129 0.633 (multiplicity 24)

***

(2)
An optimized crystal structure of Dy3Y. Source: the Materials Project, functional meta-GGA r2SCAN.

Summary:
Total magnetization (μB per cell): 0.04

Cell lengths 5.040, 5.040, 5.040 Å; angles 90.00, 90.00, 90.00 degrees
Space group Pm-3m (No. 221)
Symmetry-distinct sites (fractional):
Dy 0.000 0.000 0.500 (multiplicity 3)
Y 0.500 0.500 0.500 (multiplicity 1)

***

(3)
An optimized crystal structure of BeSiAs2. Source: the Materials Project, functional meta-GGA r2SCAN.

Summary:
Total magnetization (μB per cell): 0.00

Cell lengths 5.338, 5.338, 10.645 Å; angles 90.00, 90.00, 90.00 degrees
Space group I-42d (No. 122)
Symmetry-distinct sites (fractional):
Be 0.000 0.000 0.000 (multiplicity 4)
Si 0.000 0.000 0.500 (multiplicity 4)
As 0.233 0.750 0.125 (multiplicity 8)

***

(4)
An optimized crystal structure of CaPbI4. Source: the Materials Project, functional meta-GGA r2SCAN.

Summary:
Total magnetization (μB per cell): 0.00

Cell lengths 4.587, 15.865, 14.851 Å; angles 90.00, 90.00, 90.00 degrees
Space group Pmn2_1 (No. 31)
Symmetry-distinct sites (fractional):
Ca 0.000 0.017 0.000 (multiplicity 2)
Ca 0.000 0.230 0.498 (multiplicity 2)
Pb 0.000 0.520 0.998 (multiplicity 2)
Pb 0.000 0.734 0.497 (multiplicity 2)
I 0.000 0.065 0.382 (multiplicity 2)
I 0.000 0.177 0.875 (multiplicity 2)
I 0.000 0.350 0.123 (multiplicity 2)
I 0.000 0.392 0.621 (multiplicity 2)
I 0.000 0.564 0.372 (multiplicity 2)
I 0.000 0.691 0.878 (multiplicity 2)
I 0.000 0.851 0.116 (multiplicity 2)
I 0.000 0.903 0.619 (multiplicity 2)

***

(5)
An optimized crystal structure of LuSi2Ru2. Source: the Materials Project, functional meta-GGA r2SCAN.

Summary:
Total magnetization (μB per cell): 0.00

Cell lengths 4.144, 4.144, 9.378 Å; angles 90.00, 90.00, 90.00 degrees
Space group I4/mmm (No. 139)
Symmetry-distinct sites (fractional):
Lu 0.000 0.000 0.000 (multiplicity 2)
Si 0.000 0.000 0.369 (multiplicity 4)
Ru 0.000 0.500 0.250 (multiplicity 4)

***

(6)
An optimized crystal structure of NiAs2O6. Source: the Materials Project, functional meta-GGA r2SCAN.

Summary:
Total magnetization (μB per cell): 2.00

Cell lengths 4.7761, 4.7761, 4.4201 Å; angles 90.00, 90.00, 120.00 degrees
Space group P-31m (No. 162)
Symmetry-distinct sites (fractional):
Ni 0.0000 0.0000 0.0000 (multiplicity 1)
As 0.3333 0.6667 0.5000 (multiplicity 2)
O 0.0000 0.3612 0.2720 (multiplicity 6)

***

(7)
An optimized crystal structure of PmPbAu2. Source: the Materials Project, functional meta-GGA r2SCAN.

Summary:
Total magnetization (μB per cell): 0.00

Cell lengths 7.195, 7.195, 7.195 Å; angles 90.00, 90.00, 90.00 degrees
Space group Fm-3m (No. 225)
Symmetry-distinct sites (fractional):
Pm 0.000 0.000 0.000 (multiplicity 4)
Pb 0.000 0.000 0.500 (multiplicity 4)
Au 0.250 0.250 0.250 (multiplicity 8)

***

(8)
An optimized crystal structure of SmPtF7. Source: the Materials Project, functional meta-GGA r2SCAN.

Summary:
Total magnetization (μB per cell): 0.00

Cell lengths 8.975, 5.507, 12.063 Å; angles 90.00, 118.11, 90.00 degrees
Space group P2_1/c (No. 14)
Symmetry-distinct sites (fractional):
Sm 0.188 0.239 0.264 (multiplicity 4)
Pt 0.272 0.744 0.042 (multiplicity 4)
F 0.027 0.743 0.950 (multiplicity 4)
F 0.037 0.604 0.731 (multiplicity 4)
F 0.258 0.561 0.175 (multiplicity 4)
F 0.273 0.040 0.130 (multiplicity 4)
F 0.280 0.058 0.461 (multiplicity 4)
F 0.292 0.567 0.414 (multiplicity 4)
F 0.483 0.233 0.361 (multiplicity 4)

***

(9)
An optimized crystal structure of Er5BiPt2. Source: the Materials Project, functional meta-GGA r2SCAN.

Summary:
Total magnetization (μB per cell): 0.00

Cell lengths 7.709, 7.709, 13.610 Å; angles 90.00, 90.00, 90.00 degrees
Space group I4/mcm (No. 140)
Symmetry-distinct sites (fractional):
Er 0.000 0.000 0.000 (multiplicity 4)
Er 0.155 0.345 0.136 (multiplicity 16)
Bi 0.000 0.000 0.250 (multiplicity 4)
Pt 0.140 0.360 0.500 (multiplicity 8)

***

(10)
An optimized crystal structure of Tb5NiPb3. Source: the Materials Project, functional meta-GGA r2SCAN.

Summary:
Total magnetization (μB per cell): 1.19

Cell lengths 9.1425, 9.1425, 6.7396 Å; angles 90.00, 90.00, 120.00 degrees
Space group P6_3/mcm (No. 193)
Symmetry-distinct sites (fractional):
Tb 0.0000 0.2382 0.2500 (multiplicity 6)
Tb 0.3333 0.6667 0.0000 (multiplicity 4)
Ni 0.0000 0.0000 0.0000 (multiplicity 2)
Pb 0.0000 0.3992 0.7500 (multiplicity 6)

***

(11)
An optimized crystal structure of Al11Re4. Source: the Materials Project, functional meta-GGA r2SCAN.

Summary:
Total magnetization (μB per cell): 0.00

Cell lengths 5.119, 5.168, 8.935 Å; angles 90.88, 104.82, 98.99 degrees
Space group P-1 (No. 2)
Symmetry-distinct sites (fractional):
Al 0.000 0.000 0.000 (multiplicity 1)
Al 0.096 0.494 0.873 (multiplicity 2)
Al 0.214 0.050 0.337 (multiplicity 2)
Al 0.251 0.796 0.639 (multiplicity 2)
Al 0.316 0.557 0.378 (multiplicity 2)
Al 0.465 0.145 0.872 (multiplicity 2)
Re 0.158 0.277 0.605 (multiplicity 2)
Re 0.389 0.337 0.131 (multiplicity 2)

***

(12)
An optimized crystal structure of MoRh. Source: the Materials Project, functional meta-GGA r2SCAN.

Summary:
Total magnetization (μB per cell): 0.00

Cell lengths 4.416, 2.735, 4.813 Å; angles 90.00, 90.00, 90.00 degrees
Space group Pmma (No. 51)
Symmetry-distinct sites (fractional):
Mo 0.250 0.000 0.171 (multiplicity 2)
Rh 0.250 0.500 0.673 (multiplicity 2)

***

(13)
An optimized crystal structure of Sn7Os3. Source: the Materials Project, functional meta-GGA r2SCAN.

Summary:
Total magnetization (μB per cell): 0.00

Cell lengths 9.438, 9.438, 9.438 Å; angles 90.00, 90.00, 90.00 degrees
Space group Im-3m (No. 229)
Symmetry-distinct sites (fractional):
Sn 0.000 0.250 0.500 (multiplicity 12)
Sn 0.161 0.161 0.161 (multiplicity 16)
Os 0.000 0.000 0.344 (multiplicity 12)

***

(14)
An optimized crystal structure of CaFeF6. Source: the Materials Project, functional meta-GGA r2SCAN.

Summary:
Total magnetization (μB per cell): 12.00

Cell lengths 5.2486, 5.2486, 14.1995 Å; angles 90.00, 90.00, 120.00 degrees
Space group R-3 (No. 148, hexagonal axes)
Symmetry-distinct sites (fractional):
Ca 0.0000 0.0000 0.0000 (multiplicity 3)
Fe 0.0000 0.0000 0.5000 (multiplicity 3)
F 0.0094 0.7198 0.5751 (multiplicity 18)

***

(15)
An optimized crystal structure of EuHgPb. Source: the Materials Project, functional meta-GGA r2SCAN.

Summary:
Total magnetization (μB per cell): 14.06

Cell lengths 5.0305, 5.0305, 8.0123 Å; angles 90.00, 90.00, 120.00 degrees
Space group P6_3mc (No. 186)
Symmetry-distinct sites (fractional):
Eu 0.0000 0.0000 0.0000 (multiplicity 2)
Hg 0.3333 0.6667 0.3084 (multiplicity 2)
Pb 0.3333 0.6667 0.7142 (multiplicity 2)

***

(16)
An optimized crystal structure of AlSeBr7. Source: the Materials Project, functional meta-GGA r2SCAN.

Summary:
Total magnetization (μB per cell): 0.00

Cell lengths 6.815, 6.617, 14.704 Å; angles 90.00, 103.30, 90.00 degrees
Space group Pc (No. 7)
Symmetry-distinct sites (fractional):
Al 0.000 0.006 0.000 (multiplicity 2)
Se 0.697 0.412 0.839 (multiplicity 2)
Br 0.028 0.340 0.507 (multiplicity 2)
Br 0.066 0.123 0.861 (multiplicity 2)
Br 0.223 0.150 0.126 (multiplicity 2)
Br 0.441 0.388 0.374 (multiplicity 2)
Br 0.497 0.180 0.736 (multiplicity 2)
Br 0.678 0.115 0.004 (multiplicity 2)
Br 0.804 0.386 0.229 (multiplicity 2)

***

(17)
An optimized crystal structure of NdSmIn2. Source: the Materials Project, functional meta-GGA r2SCAN.

Summary:
Total magnetization (μB per cell): 0.00

Cell lengths 7.686, 7.686, 7.686 Å; angles 90.00, 90.00, 90.00 degrees
Space group Fm-3m (No. 225)
Symmetry-distinct sites (fractional):
Nd 0.000 0.000 0.000 (multiplicity 4)
Sm 0.000 0.000 0.500 (multiplicity 4)
In 0.250 0.250 0.250 (multiplicity 8)

***

(18)
An optimized crystal structure of Rb2Ti6O13. Source: the Materials Project, functional meta-GGA r2SCAN.

Summary:
Total magnetization (μB per cell): 0.00

Cell lengths 15.981, 3.821, 9.130 Å; angles 90.00, 100.41, 90.00 degrees
Space group C2/m (No. 12)
Symmetry-distinct sites (fractional):
Rb 0.045 0.000 0.250 (multiplicity 4)
Ti 0.115 0.500 0.595 (multiplicity 4)
Ti 0.174 0.500 0.937 (multiplicity 4)
Ti 0.234 0.500 0.279 (multiplicity 4)
O 0.000 0.500 0.500 (multiplicity 2)
O 0.082 0.500 0.790 (multiplicity 4)
O 0.139 0.500 0.116 (multiplicity 4)
O 0.141 0.000 0.610 (multiplicity 4)
O 0.170 0.500 0.418 (multiplicity 4)
O 0.204 0.000 0.928 (multiplicity 4)
O 0.238 0.500 0.739 (multiplicity 4)

***

(19)
An optimized crystal structure of Rb2PdCl4. Source: the Materials Project, functional meta-GGA r2SCAN.

Summary:
Total magnetization (μB per cell): 0.00

Cell lengths 7.251, 7.251, 4.346 Å; angles 90.00, 90.00, 90.00 degrees
Space group P4/mmm (No. 123)
Symmetry-distinct sites (fractional):
Rb 0.000 0.500 0.000 (multiplicity 2)
Pd 0.000 0.000 0.500 (multiplicity 1)
Cl 0.226 0.226 0.500 (multiplicity 4)

***

Formation enthalpy at 0 K list, top to bottom, in eV/atom: -1.934, 0.058, -0.296, -1.311, -0.946, -1.332, -0.677, -2.803, -1.049, -0.669, -0.401, -0.194, 0.034, -2.908, -0.583, -0.686, -0.623, -3.173, -1.554